# 1
{"formula": "Hf2N2O", "functional": "GGA-PBE", "state": "optimized geometry", "lattice_angstrom": [[8.715, 0.000, 0.000], [-2.906, 8.225, 0.000], [-2.904, -4.103, 7.146]], "species": ["Hf", "Hf", "Hf", "Hf", "Hf", "Hf", "Hf", "Hf", "Hf", "Hf", "Hf", "Hf", "Hf", "Hf", "Hf", "Hf", "N", "N", "N", "N", "N", "N", "N", "N", "N", "N", "N", "N", "N", "N", "N", "N", "O", "O", "O", "O", "O", "O", "O", "O"], "fractional_positions": [[0.000, 0.000, 0.000], [0.009, 0.501, 0.512], [0.036, 0.321, 0.787], [0.208, 0.026, 0.749], [0.237, 0.777, 0.026], [0.248, 0.286, 0.537], [0.295, 0.541, 0.324], [0.466, 0.255, 0.287], [0.487, 0.073, 0.569], [0.503, 0.577, 0.078], [0.532, 0.825, 0.796], [0.719, 0.030, 0.248], [0.740, 0.278, 0.029], [0.761, 0.788, 0.532], [0.782, 0.537, 0.824], [0.960, 0.748, 0.282], [0.007, 0.557, 0.764], [0.018, 0.798, 0.080], [0.214, 0.014, 0.489], [0.234, 0.545, 0.072], [0.268, 0.032, 0.010], [0.285, 0.559, 0.578], [0.476, 0.775, 0.992], [0.480, 0.048, 0.807], [0.522, 0.331, 0.570], [0.523, 0.514, 0.305], [0.699, 0.505, 0.022], [0.760, 0.829, 0.309], [0.801, 0.064, 0.053], [0.973, 0.058, 0.773], [0.977, 0.240, 0.503], [0.987, 0.748, 0.547], [0.018, 0.517, 0.262], [0.203, 0.252, 0.265], [0.294, 0.322, 0.807], [0.497, 0.016, 0.316], [0.510, 0.823, 0.520], [0.713, 0.295, 0.272], [0.734, 0.741, 0.763], [0.786, 0.278, 0.803]], "e_form_mev_per_atom": -2381, "dft_energy_ev_per_cell": -422.0, "sg": "P1 (1)"}

***

# 2
{"formula": "Hf3N2O3", "functional": "GGA-PBE", "state": "optimized geometry", "lattice_angstrom": [[2.021, -5.272, 0.000], [2.021, 5.272, 0.000], [0.000, 0.000, 10.569]], "species": ["Hf", "Hf", "Hf", "Hf", "Hf", "Hf", "N", "N", "N", "N", "O", "O", "O", "O", "O", "O"], "fractional_positions": [[0.144, 0.856, 0.557], [0.144, 0.856, 0.943], [0.192, 0.808, 0.250], [0.808, 0.192, 0.750], [0.856, 0.144, 0.057], [0.856, 0.144, 0.443], [0.300, 0.700, 0.079], [0.300, 0.700, 0.421], [0.700, 0.300, 0.579], [0.700, 0.300, 0.921], [0.043, 0.957, 0.116], [0.043, 0.957, 0.384], [0.248, 0.752, 0.750], [0.752, 0.248, 0.250], [0.957, 0.043, 0.616], [0.957, 0.043, 0.884]], "e_form_mev_per_atom": -3018, "dft_energy_ev_per_cell": -166.9, "sg": "Cmcm (63)"}

***

# 3
{"formula": "Hf3N2O3", "functional": "GGA-PBE", "state": "optimized geometry", "lattice_angstrom": [[5.304, -2.002, 0.000], [5.304, 2.002, 0.000], [-0.103, 0.000, 10.649]], "species": ["Hf", "Hf", "Hf", "Hf", "Hf", "Hf", "N", "N", "N", "N", "O", "O", "O", "O", "O", "O"], "fractional_positions": [[0.000, 0.000, 0.000], [0.006, 0.006, 0.385], [0.279, 0.279, 0.500], [0.288, 0.288, 0.887], [0.327, 0.327, 0.194], [0.951, 0.951, 0.695], [0.189, 0.189, 0.330], [0.443, 0.443, 0.024], [0.844, 0.844, 0.865], [0.847, 0.847, 0.520], [0.099, 0.099, 0.830], [0.100, 0.100, 0.565], [0.188, 0.188, 0.058], [0.390, 0.390, 0.697], [0.453, 0.453, 0.364], [0.898, 0.898, 0.202]], "e_form_mev_per_atom": -2984, "dft_energy_ev_per_cell": -166.4, "m_tot_mub_per_atom": 0.00, "sg": "Cm (8)"}

***

# 4
{"formula": "Hf2N2O", "functional": "GGA-PBE", "state": "optimized geometry", "lattice_angstrom": [[8.729, 0.000, 0.000], [-2.899, 8.239, 0.000], [-2.907, -4.115, 7.138]], "species": ["Hf", "Hf", "Hf", "Hf", "Hf", "Hf", "Hf", "Hf", "Hf", "Hf", "Hf", "Hf", "Hf", "Hf", "Hf", "Hf", "N", "N", "N", "N", "N", "N", "N", "N", "N", "N", "N", "N", "N", "N", "N", "N", "O", "O", "O", "O", "O", "O", "O", "O"], "fractional_positions": [[0.000, 0.000, 0.000], [0.005, 0.498, 0.505], [0.046, 0.316, 0.781], [0.218, 0.032, 0.747], [0.243, 0.766, 0.024], [0.257, 0.297, 0.544], [0.298, 0.546, 0.325], [0.478, 0.251, 0.292], [0.502, 0.575, 0.063], [0.505, 0.070, 0.575], [0.535, 0.823, 0.783], [0.722, 0.034, 0.243], [0.745, 0.281, 0.037], [0.767, 0.797, 0.534], [0.789, 0.534, 0.819], [0.957, 0.744, 0.274], [0.013, 0.554, 0.761], [0.030, 0.804, 0.083], [0.244, 0.546, 0.071], [0.288, 0.555, 0.575], [0.301, 0.317, 0.803], [0.478, 0.774, 0.986], [0.482, 0.049, 0.806], [0.518, 0.822, 0.518], [0.529, 0.329, 0.565], [0.712, 0.510, 0.022], [0.717, 0.297, 0.271], [0.763, 0.827, 0.305], [0.804, 0.060, 0.046], [0.980, 0.056, 0.775], [0.983, 0.235, 0.497], [0.996, 0.752, 0.542], [0.028, 0.519, 0.257], [0.213, 0.251, 0.256], [0.223, 0.011, 0.487], [0.271, 0.029, 0.004], [0.488, 0.012, 0.303], [0.525, 0.510, 0.301], [0.742, 0.737, 0.759], [0.787, 0.271, 0.793]], "e_form_mev_per_atom": -2386, "dft_energy_ev_per_cell": -422.2, "sg": "P1 (1)"}